1.
Compound: MgAu2
Source: the Materials Project
Functional: PBE
Structure: relaxed

Cell lengths 5.0894, 5.0894, 4.9272 Å; angles 90.00, 90.00, 121.18 degrees
Fractional coordinates of all 6 atoms:
Au 0.8638 0.5412 0.2500
Au 0.5412 0.8638 0.2500
Mg 0.2082 0.2082 0.2500
Au 0.1362 0.4588 0.7500
Mg 0.7918 0.7918 0.7500
Au 0.4588 0.1362 0.7500

***

2.
Compound: MgAu3
Source: the Materials Project
Functional: PBE
Structure: relaxed

Cell lengths 5.8586, 5.8586, 4.8159 Å; angles 90.00, 90.00, 120.00 degrees
Fractional coordinates of all 8 atoms:
Au 0.1682 0.8318 0.2500
Au 0.8318 0.1682 0.7500
Mg 0.3333 0.6667 0.7500
Mg 0.6667 0.3333 0.2500
Au 0.1682 0.3365 0.2500
Au 0.8318 0.6635 0.7500
Au 0.3365 0.1682 0.7500
Au 0.6635 0.8318 0.2500

***

3.
Compound: MgAu3
Source: the Materials Project
Functional: PBE
Structure: relaxed

Cell lengths 5.1724, 5.1724, 5.1724 Å; angles 133.57, 133.57, 67.76 degrees
Fractional coordinates of all 4 atoms:
Au 0.7500 0.2500 0.5000
Au 0.5000 0.5000 0.0000
Mg 0.0000 0.0000 0.0000
Au 0.2500 0.7500 0.5000

***

4.
Compound: Mg3Au13
Source: the Materials Project
Functional: PBE
Structure: relaxed

Cell lengths 4.1376, 4.1376, 16.7398 Å; angles 90.00, 90.00, 90.00 degrees
Fractional coordinates of all 16 atoms:
Au 0.0000 0.5000 0.5032
Au 0.5000 0.5000 0.1246
Au 0.5000 0.0000 0.5032
Au 0.0000 0.0000 0.6252
Au 0.0000 0.0000 0.3760
Au 0.5000 0.5000 0.8765
Mg 0.0000 0.0000 0.8742
Au 0.5000 0.0000 0.0003
Au 0.0000 0.5000 0.0003
Au 0.5000 0.0000 0.2470
Mg 0.0000 0.0000 0.1255
Au 0.5000 0.0000 0.7498
Au 0.5000 0.5000 0.3731
Mg 0.5000 0.5000 0.6243
Au 0.0000 0.5000 0.2470
Au 0.0000 0.5000 0.7498

***

5.
Compound: Mg149Au
Source: the Materials Project
Functional: PBE
Structure: relaxed

Cell lengths 15.8725, 15.8725, 15.5758 Å; angles 90.00, 90.00, 120.00 degrees
Fractional coordinates of all 150 atoms:
Mg 0.8660 0.1340 0.1674
Mg 0.8665 0.5330 0.8334
Mg 0.0000 0.6010 0.0000
Mg 0.1999 0.8001 0.3329
Mg 0.4000 0.6000 0.3332
Mg 0.4001 0.8002 0.0000
Mg 0.4667 0.9335 0.5000
Mg 0.8668 0.3335 0.5000
Mg 0.3996 0.9999 0.3329
Mg 0.2663 0.7337 0.1662
Mg 0.2665 0.3330 0.5000
Mg 0.6665 0.5333 0.5000
Mg 0.0002 0.1994 0.6675
Mg 0.0660 0.3315 0.8342
Mg 0.4667 0.5333 0.1663
Mg 0.8002 0.4001 0.6666
Mg 0.0666 0.5333 0.8337
Mg 0.0660 0.3315 0.1658
Mg 0.6025 0.8013 0.0000
Mg 0.6670 0.9336 0.5000
Mg 0.6003 0.6004 0.3329
Mg 0.4670 0.1335 0.1666
Mg 0.4000 0.8000 0.3332
Mg 0.8063 0.0016 0.0000
Mg 0.5998 0.1997 0.0000
Mg 0.1992 0.9998 0.6675
Mg 0.4674 0.7337 0.1662
Mg 0.0665 0.5333 0.5000
Mg 0.8063 0.8047 0.0000
Mg 0.1992 0.1994 0.6675
Mg 0.0666 0.9334 0.5000
Mg 0.1953 0.0016 0.0000
Mg 0.0649 0.1297 0.1619
Mg 0.3996 0.3997 0.3329
Mg 0.6003 0.9999 0.6671
Mg 0.8001 0.1999 0.3335
Mg 0.3999 0.1999 0.6665
Mg 0.4000 0.6000 0.6668
Mg 0.1987 0.3975 0.0000
Mg 0.0000 0.0000 0.3316
Mg 0.0002 0.8008 0.6675
Mg 0.8668 0.1332 0.5000
Mg 0.0001 0.3997 0.6671
Mg 0.4670 0.1335 0.8334
Mg 0.8660 0.7320 0.8326
Mg 0.5998 0.4002 0.0000
Mg 0.2663 0.5326 0.8338
Mg 0.4667 0.9334 0.1663
Mg 0.6667 0.3333 0.8333
Mg 0.4670 0.3336 0.1666
Mg 0.2000 0.6000 0.6668
Mg 0.0649 0.9351 0.8381
Mg 0.0001 0.6004 0.3329
Mg 0.8008 0.1992 0.0000
Mg 0.2663 0.5326 0.1662
Mg 0.1999 0.3998 0.3329
Mg 0.0002 0.1994 0.3325
Mg 0.6667 0.3333 0.5000
Mg 0.5999 0.4001 0.3334
Mg 0.4667 0.5333 0.8337
Mg 0.0000 0.0000 0.6684
Mg 0.8002 0.4001 0.3334
Mg 0.8003 0.4002 0.0000
Mg 0.0660 0.7345 0.8342
Mg 0.1992 0.9998 0.3325
Mg 0.1992 0.1994 0.3325
Mg 0.0660 0.7345 0.1658
Mg 0.3996 0.9999 0.6671
Mg 0.8006 0.9998 0.3325
Mg 0.4001 0.5999 0.0000
Mg 0.8703 0.9351 0.8381
Mg 0.3985 0.1992 0.0000
Mg 0.8669 0.9334 0.5000
Mg 0.6003 0.6004 0.6671
Mg 0.8008 0.6015 0.0000
Mg 0.6010 0.0000 0.0000
Mg 0.6685 0.9340 0.8342
Mg 0.9984 0.1937 0.0000
Mg 0.8668 0.7337 0.5000
Mg 0.1999 0.8001 0.6671
Mg 0.5999 0.4001 0.6666
Mg 0.0002 0.8008 0.3325
Mg 0.0666 0.5333 0.1663
Mg 0.4667 0.5333 0.5000
Mg 0.1987 0.8013 0.0000
Mg 0.6664 0.5330 0.8334
Mg 0.6664 0.1335 0.8334
Mg 0.2680 0.1340 0.1674
Mg 0.6664 0.1335 0.1666
Mg 0.2663 0.1332 0.5000
Mg 0.2665 0.5330 0.5000
Mg 0.2000 0.6000 0.3332
Mg 0.6003 0.9999 0.3329
Mg 0.8660 0.7320 0.1674
Mg 0.6685 0.7345 0.1658
Mg 0.6665 0.1332 0.5000
Mg 0.6664 0.5330 0.1666
Mg 0.3990 0.3990 0.0000
Mg 0.4000 0.8000 0.6668
Mg 0.6010 0.6010 0.0000
Mg 0.8665 0.5330 0.1666
Mg 0.8703 0.9351 0.1619
Mg 0.2655 0.9340 0.8342
Mg 0.8001 0.6001 0.6665
Mg 0.6670 0.7335 0.5000
Mg 0.0666 0.1331 0.5000
Mg 0.6002 0.8001 0.6671
Au 0.0000 0.0000 0.0000
Mg 0.2655 0.3315 0.8342
Mg 0.6002 0.8001 0.3329
Mg 0.4667 0.1332 0.5000
Mg 0.5999 0.1998 0.6666
Mg 0.4670 0.7335 0.5000
Mg 0.0000 0.3990 0.0000
Mg 0.4667 0.3335 0.5000
Mg 0.9984 0.8047 0.0000
Mg 0.8665 0.3336 0.8334
Mg 0.8006 0.8008 0.3325
Mg 0.2665 0.7335 0.5000
Mg 0.8660 0.1340 0.8326
Mg 0.4670 0.3336 0.8334
Mg 0.2663 0.7337 0.8338
Mg 0.0649 0.9351 0.1619
Mg 0.6685 0.9340 0.1658
Mg 0.3990 0.0000 0.0000
Mg 0.2655 0.9340 0.1658
Mg 0.2680 0.1340 0.8326
Mg 0.8668 0.5333 0.5000
Mg 0.4674 0.7337 0.8338
Mg 0.6685 0.7345 0.8342
Mg 0.2665 0.9336 0.5000
Mg 0.8006 0.9998 0.6675
Mg 0.8665 0.3336 0.1666
Mg 0.8001 0.1999 0.6665
Mg 0.4667 0.9334 0.8337
Mg 0.0001 0.6004 0.6671
Mg 0.0649 0.1297 0.8381
Mg 0.0001 0.3997 0.3329
Mg 0.8001 0.6001 0.3335
Mg 0.0664 0.7335 0.5000
Mg 0.5999 0.1998 0.3334
Mg 0.3996 0.3997 0.6671
Mg 0.1953 0.1937 0.0000
Mg 0.0664 0.3330 0.5000
Mg 0.1999 0.3998 0.6671
Mg 0.8006 0.8008 0.6675
Mg 0.6667 0.3333 0.1667
Mg 0.1998 0.5999 0.0000
Mg 0.3999 0.1999 0.3335
Mg 0.2655 0.3315 0.1658

***

6.
Compound: MgAu3
Source: the Materials Project
Functional: PBE
Structure: relaxed

Cell lengths 5.8867, 10.5479, 24.0066 Å; angles 90.00, 90.00, 106.20 degrees
Fractional coordinates of all 80 atoms:
Au 0.8347 0.1651 0.9000
Au 0.9571 0.9142 0.0999
Mg 0.7068 0.4135 0.9000
Mg 0.0425 0.0850 0.6001
Au 0.5407 0.0814 0.6000
Au 0.5011 0.4984 0.0000
Au 0.3311 0.1638 0.3005
Au 0.2086 0.4172 0.9002
Au 0.5396 0.0792 0.1999
Au 0.9566 0.9132 0.3001
Au 0.0834 0.6637 0.3006
Au 0.1229 0.2459 0.5000
Au 0.7924 0.5849 0.4003
Au 0.7524 0.0011 0.5000
Au 0.7484 0.9982 0.0000
Au 0.2086 0.4172 0.0998
Au 0.9159 0.3330 0.1995
Au 0.4171 0.3330 0.1995
Mg 0.8744 0.7487 0.5000
Mg 0.7062 0.4124 0.2988
Au 0.7914 0.5829 0.8003
Au 0.2087 0.4173 0.6998
Au 0.1678 0.8325 0.8006
Au 0.5818 0.6652 0.9002
Mg 0.4591 0.9181 0.9002
Mg 0.4582 0.9165 0.7018
Au 0.2087 0.4173 0.3002
Au 0.1678 0.8335 0.4000
Au 0.8328 0.1638 0.6995
Mg 0.4591 0.9181 0.0998
Au 0.6657 0.8335 0.6000
Mg 0.0425 0.0850 0.3999
Au 0.3754 0.7508 0.5000
Au 0.6657 0.8335 0.4000
Mg 0.7062 0.4124 0.7012
Au 0.5407 0.0814 0.4000
Mg 0.1232 0.2464 0.0000
Mg 0.2904 0.5807 0.5996
Au 0.9571 0.9142 0.9001
Mg 0.8758 0.7516 0.0000
Au 0.3304 0.1651 0.1000
Au 0.9973 0.4984 0.0000
Au 0.2486 0.0011 0.5000
Mg 0.0420 0.0840 0.2014
Au 0.1678 0.8325 0.1994
Au 0.6647 0.8325 0.1994
Au 0.6647 0.8325 0.8006
Mg 0.2904 0.5807 0.4004
Au 0.0834 0.6652 0.9002
Au 0.4999 0.5013 0.5000
Mg 0.2901 0.5803 0.7983
Mg 0.7068 0.4135 0.1000
Au 0.5396 0.0792 0.8001
Au 0.3311 0.1638 0.6995
Au 0.9145 0.3336 0.5998
Au 0.8347 0.1651 0.1000
Au 0.9145 0.3336 0.4002
Au 0.7914 0.5829 0.1997
Mg 0.0420 0.0840 0.7986
Au 0.6267 0.2534 0.0000
Au 0.2498 0.9982 0.0000
Au 0.9566 0.9132 0.6999
Au 0.4191 0.3336 0.5998
Au 0.5803 0.6637 0.6994
Mg 0.4582 0.9165 0.2982
Au 0.8328 0.1638 0.3005
Mg 0.2901 0.5803 0.2017
Au 0.0014 0.5013 0.5000
Au 0.0834 0.6652 0.0998
Au 0.5818 0.6652 0.0998
Au 0.4191 0.3336 0.4002
Au 0.4171 0.3330 0.8005
Au 0.7924 0.5849 0.5997
Au 0.3745 0.7491 0.0000
Au 0.3304 0.1651 0.9000
Au 0.0834 0.6637 0.6994
Au 0.9159 0.3330 0.8005
Au 0.1678 0.8335 0.6000
Au 0.5803 0.6637 0.3006
Mg 0.6262 0.2524 0.5000

***

| no. | DFT total energy (eV per formula unit) | calculated formation energy (kcal/mol of atoms) |
| --- | --- | --- |
| 1 | -9.56 | -10.84 |
| 2 | -13.02 | -9.22 |
| 3 | -13.01 | -9.13 |
| 4 | -52.32 | -7.15 |
| 5 | -246.83 | -0.79 |
| 6 | -13.05 | -9.41 |